VASP calculation (PBE-GGA) on a relaxed KP2H5O8 crystal.

DFT total energy: -0.2199 hartree per atom

Cell and atoms, written as POSCAR:
```
KP2H5O8
1.0
10.871 0.000 0.000
0.000 7.936 0.000
0.000 3.945 8.830
K P H O
4 8 20 32
direct
0.876 0.210 0.860
0.376 0.790 0.640
0.124 0.790 0.140
0.624 0.210 0.360
0.726 0.648 0.713
0.226 0.352 0.787
0.274 0.352 0.287
0.774 0.648 0.213
0.570 0.111 0.771
0.070 0.889 0.729
0.430 0.889 0.229
0.930 0.111 0.271
0.710 0.966 0.672
0.210 0.034 0.828
0.290 0.034 0.328
0.790 0.966 0.172
0.757 0.566 0.519
0.257 0.434 0.981
0.243 0.434 0.481
0.743 0.566 0.019
0.580 0.436 0.802
0.080 0.564 0.698
0.420 0.564 0.198
0.920 0.436 0.302
0.919 0.709 0.867
0.419 0.291 0.633
0.081 0.291 0.133
0.581 0.709 0.367
0.476 0.871 0.956
0.976 0.129 0.544
0.524 0.129 0.044
0.024 0.871 0.456
0.717 0.855 0.612
0.217 0.145 0.888
0.283 0.145 0.388
0.783 0.855 0.112
0.789 0.541 0.625
0.289 0.459 0.875
0.211 0.459 0.375
0.711 0.541 0.125
0.588 0.575 0.748
0.088 0.425 0.752
0.412 0.425 0.252
0.912 0.575 0.248
0.799 0.597 0.859
0.299 0.403 0.641
0.201 0.403 0.141
0.701 0.597 0.359
0.497 0.225 0.621
0.997 0.775 0.879
0.503 0.775 0.379
0.003 0.225 0.121
0.503 0.918 0.845
0.003 0.082 0.655
0.497 0.082 0.155
0.997 0.918 0.345
0.698 0.081 0.716
0.198 0.919 0.784
0.302 0.919 0.284
0.802 0.081 0.216
0.575 0.209 0.877
0.075 0.791 0.623
0.425 0.791 0.123
0.925 0.209 0.377
```

VASP calculation (PBE-GGA) on a relaxed SmSbPt crystal.

DFT total energy: -0.1970 hartree per atom
Magnetization: 0.0 μB per cell

Cell and atoms, written as POSCAR:
```
SmSbPt
1.0
-0.120 -4.893 -0.464
-3.163 -2.096 -3.126
1.653 -2.120 -4.117
Sm Sb Pt
1 1 1
direct
0.250 0.250 0.250
0.500 0.500 0.500
0.000 0.000 0.000
```

VASP calculation (PBE-GGA) on a relaxed BaNaLi3B6O12 crystal.

DFT total energy: -0.2646 hartree per atom
Magnetization: 0.0 μB per cell

Cell and atoms, written as POSCAR:
```
BaNaLi3B6O12
1.0
-2.453 7.998 0.748
-7.244 0.489 4.223
1.315 2.777 7.817
Ba Na Li B O
2 2 6 12 24
direct
0.852 0.852 0.852
0.148 0.148 0.148
0.669 0.669 0.669
0.331 0.331 0.331
0.783 0.599 0.280
0.280 0.783 0.599
0.599 0.280 0.783
0.217 0.401 0.720
0.720 0.217 0.401
0.401 0.720 0.217
0.693 0.485 0.067
0.067 0.693 0.485
0.485 0.067 0.693
0.307 0.515 0.933
0.933 0.307 0.515
0.515 0.933 0.307
0.133 0.686 0.167
0.167 0.133 0.686
0.686 0.167 0.133
0.867 0.314 0.833
0.833 0.867 0.314
0.314 0.833 0.867
0.904 0.810 0.471
0.471 0.904 0.810
0.810 0.471 0.904
0.096 0.190 0.529
0.529 0.096 0.190
0.190 0.529 0.096
0.658 0.823 0.378
0.378 0.658 0.823
0.823 0.378 0.658
0.342 0.177 0.622
0.622 0.342 0.177
0.177 0.622 0.342
0.943 0.760 0.186
0.186 0.943 0.760
0.760 0.186 0.943
0.057 0.240 0.814
0.814 0.057 0.240
0.240 0.814 0.057
0.652 0.633 0.118
0.118 0.652 0.633
0.633 0.118 0.652
0.348 0.367 0.882
0.882 0.348 0.367
0.367 0.882 0.348
```

VASP calculation (PBE-GGA) on a relaxed LaPO4 crystal.

DFT total energy: -0.2965 hartree per atom

Cell and atoms, written as POSCAR:
```
LaPO4
1.0
1.845 1.295 6.907
-5.805 -4.103 -1.502
3.754 -5.309 -0.007
La P O
3 3 12
direct
0.000 0.500 0.667
0.500 0.500 0.333
0.500 0.000 0.000
0.000 0.500 0.167
0.500 0.500 0.833
0.500 0.000 0.500
0.447 0.311 0.980
0.689 0.136 0.646
0.864 0.553 0.313
0.136 0.447 0.313
0.553 0.864 0.354
0.553 0.689 0.980
0.447 0.136 0.354
0.311 0.447 0.687
0.136 0.689 0.020
0.864 0.311 0.020
0.689 0.553 0.687
0.311 0.864 0.646
```

VASP calculation (PBE-GGA) on a relaxed KAu2 crystal.

DFT total energy: -0.1050 hartree per atom

Cell and atoms, written as POSCAR:
```
KAu2
1.0
2.881 -4.991 0.000
2.881 4.991 0.000
0.000 0.000 9.985
K Au
4 8
direct
0.333 0.667 0.561
0.667 0.333 0.061
0.667 0.333 0.439
0.333 0.667 0.939
0.334 0.167 0.750
0.666 0.833 0.250
0.167 0.833 0.250
0.833 0.666 0.750
0.833 0.167 0.750
0.167 0.334 0.250
0.000 0.000 0.500
0.000 0.000 0.000
```

VASP calculation (PBE-GGA) on a relaxed LuPS4 crystal.

DFT total energy: -0.1995 hartree per atom

Cell and atoms, written as POSCAR:
```
LuPS4
1.0
-2.324 5.384 -2.828
-1.426 -4.462 -7.324
-10.995 -5.755 -1.923
Lu P S
4 4 16
direct
0.322 0.555 0.836
0.822 0.445 0.664
0.678 0.445 0.164
0.178 0.555 0.336
0.230 0.684 0.039
0.730 0.316 0.461
0.770 0.316 0.961
0.270 0.684 0.539
0.228 0.420 0.587
0.728 0.580 0.913
0.772 0.580 0.413
0.272 0.420 0.087
0.255 0.842 0.355
0.755 0.158 0.145
0.745 0.158 0.645
0.245 0.842 0.855
0.539 0.715 0.615
0.039 0.285 0.885
0.461 0.285 0.385
0.961 0.715 0.115
0.051 0.735 0.636
0.551 0.265 0.864
0.949 0.265 0.364
0.449 0.735 0.136
```

VASP calculation (PBE-GGA) on a relaxed NdEr3Fe34 crystal.

DFT total energy: -0.2964 hartree per atom
Magnetization: 78.0 μB per cell

Cell and atoms, written as POSCAR:
```
NdEr3Fe34
1.0
-3.660 -4.134 3.250
4.342 -1.605 4.430
-3.907 8.132 9.074
Nd Er Fe
1 3 34
direct
0.342 0.342 0.671
0.341 0.341 0.170
0.660 0.660 0.830
0.659 0.659 0.330
0.705 0.295 0.001
0.709 0.293 0.499
0.294 0.998 0.854
0.295 0.000 0.352
0.999 0.707 0.647
0.000 0.705 0.148
0.707 0.999 0.647
0.705 0.000 0.148
0.998 0.294 0.854
0.000 0.295 0.352
0.293 0.709 0.499
0.295 0.705 0.001
0.999 0.999 0.751
0.000 0.000 0.250
0.000 0.500 0.000
0.999 0.501 0.499
0.500 0.000 0.000
0.501 0.999 0.499
0.096 0.096 0.548
0.097 0.097 0.049
0.903 0.903 0.952
0.903 0.903 0.450
0.155 0.658 0.830
0.156 0.656 0.328
0.658 0.658 0.577
0.656 0.656 0.078
0.658 0.155 0.830
0.656 0.156 0.328
0.844 0.344 0.672
0.844 0.344 0.172
0.344 0.344 0.924
0.344 0.344 0.421
0.344 0.844 0.672
0.344 0.844 0.172
```

VASP calculation (PBE-GGA) on a relaxed Eu2Te4O11 crystal.

DFT total energy: -0.2482 hartree per atom

Cell and atoms, written as POSCAR:
```
Eu2Te4O11
1.0
2.650 6.327 0.000
-2.650 6.327 0.000
0.000 4.115 16.131
Eu Te O
4 8 22
direct
0.129 0.631 0.539
0.369 0.871 0.961
0.871 0.369 0.461
0.631 0.129 0.039
0.600 0.161 0.699
0.839 0.400 0.801
0.400 0.839 0.301
0.161 0.600 0.199
0.151 0.586 0.875
0.414 0.849 0.625
0.849 0.414 0.125
0.586 0.151 0.375
0.850 0.150 0.750
0.150 0.850 0.250
0.196 0.102 0.830
0.898 0.804 0.670
0.804 0.898 0.170
0.102 0.196 0.330
0.602 0.446 0.898
0.554 0.398 0.602
0.398 0.554 0.102
0.446 0.602 0.398
0.038 0.821 0.952
0.179 0.962 0.548
0.677 0.814 0.372
0.186 0.323 0.128
0.323 0.186 0.628
0.814 0.677 0.872
0.256 0.328 0.447
0.672 0.744 0.053
0.744 0.672 0.553
0.328 0.256 0.947
0.821 0.038 0.452
0.962 0.179 0.048
```

VASP calculation (PBE-GGA) on a relaxed SrO crystal.

DFT total energy: -0.2072 hartree per atom
Magnetization: 0.0 μB per cell

Cell and atoms, written as POSCAR:
```
SrO
1.0
3.142 0.000 0.000
0.000 3.142 0.000
0.000 0.000 3.142
Sr O
1 1
direct
0.000 0.000 0.000
0.500 0.500 0.500
```

VASP calculation (PBE-GGA) on a relaxed BaO6 crystal.

Energy above the most stable polymorph in this dataset: 4.0 meV/atom
Magnetization: 32.1 μB per cell

Cell and atoms, written as POSCAR:
```
BaO6
1.0
6.621 0.000 0.000
0.000 8.153 0.000
0.000 0.000 17.669
Ba O
8 48
direct
0.539 0.267 0.871
0.961 0.733 0.371
0.039 0.233 0.129
0.461 0.767 0.629
0.461 0.733 0.129
0.039 0.267 0.629
0.961 0.767 0.871
0.539 0.233 0.371
0.818 0.476 0.795
0.682 0.524 0.295
0.318 0.024 0.205
0.182 0.976 0.705
0.182 0.524 0.205
0.318 0.476 0.705
0.682 0.976 0.795
0.818 0.024 0.295
0.856 0.324 0.773
0.644 0.676 0.273
0.356 0.176 0.227
0.144 0.824 0.727
0.144 0.676 0.227
0.356 0.324 0.727
0.644 0.824 0.773
0.856 0.176 0.273
0.784 0.036 0.957
0.716 0.964 0.457
0.284 0.464 0.043
0.216 0.536 0.543
0.216 0.964 0.043
0.284 0.036 0.543
0.716 0.536 0.957
0.784 0.464 0.457
0.871 0.172 0.977
0.629 0.828 0.477
0.371 0.328 0.023
0.129 0.672 0.523
0.129 0.828 0.023
0.371 0.172 0.523
0.629 0.672 0.977
0.871 0.328 0.477
0.177 0.467 0.881
0.323 0.533 0.381
0.677 0.033 0.119
0.823 0.967 0.619
0.823 0.533 0.119
0.677 0.467 0.619
0.323 0.967 0.881
0.177 0.033 0.381
0.183 0.073 0.865
0.317 0.927 0.365
0.683 0.427 0.135
0.817 0.573 0.635
0.817 0.927 0.135
0.683 0.073 0.635
0.317 0.573 0.865
0.183 0.427 0.365
```

VASP calculation (PBE-GGA) on a relaxed Na3SiSe4 crystal.

DFT total energy: -0.1392 hartree per atom

Cell and atoms, written as POSCAR:
```
Na3SiSe4
1.0
-1.406 1.397 -17.180
4.160 -6.044 -0.832
-10.060 -9.611 0.042
Na Si Se
24 8 32
direct
0.052 0.949 0.717
0.552 0.051 0.783
0.948 0.051 0.283
0.448 0.949 0.217
0.327 0.423 0.234
0.827 0.577 0.266
0.673 0.577 0.766
0.173 0.423 0.734
0.300 0.017 0.714
0.800 0.983 0.786
0.700 0.983 0.286
0.200 0.017 0.214
0.391 0.581 0.979
0.891 0.419 0.521
0.609 0.419 0.021
0.109 0.581 0.479
0.329 0.704 0.492
0.067 0.249 0.997
0.433 0.249 0.497
0.933 0.751 0.003
0.171 0.704 0.992
0.671 0.296 0.508
0.829 0.296 0.008
0.567 0.751 0.503
0.974 0.399 0.769
0.474 0.601 0.731
0.026 0.601 0.231
0.526 0.399 0.269
0.224 0.115 0.473
0.724 0.885 0.027
0.776 0.885 0.527
0.276 0.115 0.973
0.034 0.328 0.635
0.893 0.802 0.612
0.607 0.802 0.112
0.107 0.198 0.388
0.933 0.148 0.872
0.433 0.852 0.628
0.067 0.852 0.128
0.567 0.148 0.372
0.267 0.335 0.557
0.767 0.665 0.943
0.733 0.665 0.443
0.233 0.335 0.057
0.852 0.525 0.719
0.352 0.475 0.781
0.148 0.475 0.281
0.648 0.525 0.219
0.393 0.198 0.888
0.534 0.672 0.865
0.966 0.672 0.365
0.466 0.328 0.135
0.185 0.057 0.864
0.685 0.943 0.636
0.815 0.943 0.136
0.315 0.057 0.364
0.181 0.863 0.575
0.681 0.137 0.925
0.819 0.137 0.425
0.319 0.863 0.075
0.543 0.404 0.654
0.043 0.596 0.846
0.457 0.596 0.346
0.957 0.404 0.154
```